# 1
A geometry-optimized Mg14BW structure. Source: the Materials Project, functional PBE-GGA.

Total magnetic moment (μB per formula unit): 0.0
Space-group type: P-6m2, No. 187
Calculated total energy (eV/cell): -37.25

Lattice parameters (Å, degrees): 6.180 6.180 9.750 90.00 90.00 120.00
Fractional coordinates of all 16 atoms:
Mg 0.170 0.835 0.125
Mg 0.166 0.833 0.625
Mg 0.665 0.330 0.125
Mg 0.667 0.334 0.625
Mg 0.665 0.835 0.125
Mg 0.667 0.833 0.625
Mg 0.323 0.177 0.377
Mg 0.323 0.177 0.873
Mg 0.323 0.646 0.377
Mg 0.323 0.646 0.873
Mg 0.854 0.177 0.377
Mg 0.854 0.177 0.873
Mg 0.833 0.667 0.372
Mg 0.833 0.667 0.878
B 0.167 0.333 0.625
W 0.167 0.333 0.125

=====

# 2
A geometry-optimized K3CaPCO7 structure. Source: the Materials Project, functional PBE-GGA.

Total magnetic moment (μB per formula unit): 0.0
Space-group type: P2_1/m, No. 11
Calculated total energy (eV/cell): -167.98

Lattice parameters (Å, degrees): 7.284 5.757 9.910 88.64 90.00 90.00
Fractional coordinates of all 26 atoms:
K 0.250 0.762 0.917
K 0.006 0.256 0.739
K 0.494 0.256 0.739
K 0.506 0.744 0.261
K 0.994 0.744 0.261
K 0.750 0.238 0.083
Ca 0.750 0.779 0.634
Ca 0.250 0.221 0.366
P 0.250 0.706 0.582
P 0.750 0.294 0.418
C 0.750 0.740 0.926
C 0.250 0.260 0.074
O 0.250 0.273 0.943
O 0.750 0.941 0.862
O 0.750 0.551 0.855
O 0.075 0.767 0.666
O 0.425 0.767 0.666
O 0.250 0.440 0.556
O 0.750 0.157 0.555
O 0.250 0.843 0.445
O 0.750 0.560 0.444
O 0.575 0.233 0.334
O 0.925 0.233 0.334
O 0.250 0.449 0.145
O 0.250 0.059 0.138
O 0.750 0.727 0.057

=====

# 3
A geometry-optimized TbH3 structure. Source: the Materials Project, functional PBE-GGA.

Space-group type: Fm-3m, No. 225
Calculated total energy (eV/cell): -16.94

Lattice parameters (Å, degrees): 3.677 3.677 3.677 60.00 60.00 60.00
Fractional coordinates of all 4 atoms:
Tb 0.000 0.000 0.000
H 0.500 0.500 0.500
H 0.750 0.750 0.750
H 0.250 0.250 0.250

=====

# 4
A geometry-optimized Sr3Pt2 structure. Source: the Materials Project, functional PBE-GGA.

Space-group type: R-3, No. 148
Calculated total energy (eV/cell): -62.87

Lattice parameters (Å, degrees): 8.037 8.037 8.037 71.94 71.94 71.94
Fractional coordinates of all 15 atoms:
Sr 0.000 0.000 0.000
Sr 0.797 0.797 0.797
Sr 0.203 0.203 0.203
Sr 0.326 0.612 0.843
Sr 0.843 0.326 0.612
Sr 0.612 0.843 0.326
Sr 0.674 0.388 0.157
Sr 0.157 0.674 0.388
Sr 0.388 0.157 0.674
Pt 0.147 0.960 0.588
Pt 0.588 0.147 0.960
Pt 0.960 0.588 0.147
Pt 0.853 0.040 0.412
Pt 0.412 0.853 0.040
Pt 0.040 0.412 0.853

=====

# 5
A geometry-optimized K2TiCuF6 structure. Source: the Materials Project, functional PBE-GGA.

Total magnetic moment (μB per formula unit): 1.0
Space-group type: Fm-3m, No. 225
Calculated total energy (eV/cell): -51.87

Lattice parameters (Å, degrees): 5.981 5.981 5.981 60.00 60.00 60.00
Fractional coordinates of all 10 atoms:
K 0.750 0.750 0.750
K 0.250 0.250 0.250
Ti 0.000 0.000 0.000
Cu 0.500 0.500 0.500
F 0.764 0.236 0.236
F 0.236 0.236 0.764
F 0.236 0.764 0.764
F 0.236 0.764 0.236
F 0.764 0.236 0.764
F 0.764 0.764 0.236

=====

# 6
A geometry-optimized Te3As2S3F12 structure. Source: the Materials Project, functional PBE-GGA.

Total magnetic moment (μB per formula unit): 0.0
Space-group type: P2_1/c, No. 14
Calculated total energy (eV/cell): -337.97

Lattice parameters (Å, degrees): 12.046 8.544 17.611 61.98 90.00 90.00
Fractional coordinates of all 80 atoms:
Te 0.852 0.337 0.467
Te 0.234 0.409 0.180
Te 0.266 0.409 0.680
Te 0.148 0.663 0.533
Te 0.694 0.276 0.830
Te 0.806 0.276 0.330
Te 0.306 0.724 0.170
Te 0.648 0.337 0.967
Te 0.766 0.591 0.820
Te 0.734 0.591 0.320
Te 0.352 0.663 0.033
Te 0.194 0.724 0.670
As 0.525 0.082 0.227
As 0.797 0.708 0.563
As 0.297 0.292 0.937
As 0.703 0.708 0.063
As 0.203 0.292 0.437
As 0.475 0.918 0.773
As 0.975 0.082 0.727
As 0.025 0.918 0.273
S 0.080 0.778 0.045
S 0.049 0.514 0.112
S 0.549 0.486 0.388
S 0.822 0.214 0.050
S 0.678 0.214 0.550
S 0.420 0.778 0.545
S 0.322 0.786 0.450
S 0.920 0.222 0.955
S 0.951 0.486 0.888
S 0.580 0.222 0.455
S 0.451 0.514 0.612
S 0.178 0.786 0.950
F 0.884 0.983 0.266
F 0.833 0.143 0.722
F 0.616 0.649 0.155
F 0.005 0.286 0.635
F 0.553 0.987 0.159
F 0.715 0.762 0.471
F 0.505 0.819 0.706
F 0.370 0.088 0.993
F 0.285 0.238 0.529
F 0.667 0.143 0.222
F 0.785 0.762 0.971
F 0.271 0.500 0.381
F 0.057 0.124 0.181
F 0.896 0.605 0.524
F 0.870 0.912 0.507
F 0.701 0.805 0.603
F 0.447 0.013 0.841
F 0.943 0.876 0.819
F 0.116 0.351 0.345
F 0.396 0.395 0.976
F 0.995 0.714 0.365
F 0.116 0.017 0.734
F 0.384 0.017 0.234
F 0.604 0.605 0.024
F 0.005 0.181 0.794
F 0.104 0.395 0.476
F 0.495 0.286 0.135
F 0.616 0.983 0.766
F 0.729 0.500 0.619
F 0.557 0.876 0.319
F 0.995 0.819 0.206
F 0.947 0.987 0.659
F 0.443 0.124 0.681
F 0.799 0.805 0.103
F 0.495 0.181 0.294
F 0.130 0.088 0.493
F 0.201 0.195 0.897
F 0.215 0.238 0.029
F 0.505 0.714 0.865
F 0.333 0.857 0.778
F 0.299 0.195 0.397
F 0.167 0.857 0.278
F 0.053 0.013 0.341
F 0.771 0.500 0.119
F 0.630 0.912 0.007
F 0.884 0.649 0.655
F 0.384 0.351 0.845
F 0.229 0.500 0.881

=====

# 7
A geometry-optimized LiCu3F7 structure. Source: the Materials Project, functional PBE-GGA.

Total magnetic moment (μB per formula unit): 1.0
Space-group type: C2/c, No. 15
Calculated total energy (eV/cell): -93.37

Lattice parameters (Å, degrees): 6.961 6.961 6.954 65.67 65.67 63.64
Fractional coordinates of all 22 atoms:
Li 0.500 0.500 0.000
Li 0.500 0.500 0.500
Cu 0.000 0.500 0.000
Cu 0.000 0.500 0.500
Cu 0.000 0.000 0.000
Cu 0.000 0.000 0.500
Cu 0.500 0.000 0.000
Cu 0.500 0.000 0.500
F 0.983 0.366 0.312
F 0.871 0.307 0.002
F 0.603 0.684 0.102
F 0.307 0.871 0.502
F 0.898 0.102 0.750
F 0.684 0.603 0.602
F 0.366 0.983 0.812
F 0.634 0.017 0.188
F 0.316 0.397 0.398
F 0.102 0.898 0.250
F 0.693 0.129 0.498
F 0.397 0.316 0.898
F 0.129 0.693 0.998
F 0.017 0.634 0.688

=====

# 8
A geometry-optimized Nd3NiSn7 structure. Source: the Materials Project, functional PBE-GGA.

Space-group type: Amm2, No. 38
Calculated total energy (eV/cell): -54.65

Lattice parameters (Å, degrees): 13.735 13.735 4.597 90.00 90.00 160.72
Fractional coordinates of all 11 atoms:
Nd 0.186 0.814 0.000
Nd 0.814 0.186 0.000
Nd 0.500 0.500 0.500
Ni 0.371 0.629 0.500
Sn 0.279 0.721 0.500
Sn 0.710 0.290 0.500
Sn 0.411 0.589 0.000
Sn 0.595 0.405 0.000
Sn 0.095 0.905 0.500
Sn 0.911 0.089 0.500
Sn 0.001 0.999 0.000

=====

# 9
A geometry-optimized Y3Ge13Ru4 structure. Source: the Materials Project, functional PBE-GGA.

Total magnetic moment (μB per formula unit): 0.0
Space-group type: Pm-3n, No. 223
Calculated total energy (eV/cell): -250.92

Lattice parameters (Å, degrees): 9.008 9.008 9.008 90.00 90.00 90.00
Fractional coordinates of all 40 atoms:
Y 0.500 0.000 0.250
Y 0.750 0.500 0.000
Y 0.000 0.750 0.500
Y 0.250 0.500 0.000
Y 0.500 0.000 0.750
Y 0.000 0.250 0.500
Ge 0.000 0.693 0.850
Ge 0.500 0.650 0.193
Ge 0.307 0.150 0.000
Ge 0.500 0.500 0.500
Ge 0.650 0.193 0.500
Ge 0.193 0.500 0.650
Ge 0.150 0.000 0.307
Ge 0.693 0.150 0.000
Ge 0.807 0.500 0.350
Ge 0.500 0.350 0.807
Ge 0.350 0.193 0.500
Ge 0.307 0.850 0.000
Ge 0.000 0.693 0.150
Ge 0.693 0.850 0.000
Ge 0.350 0.807 0.500
Ge 0.850 0.000 0.307
Ge 0.000 0.307 0.150
Ge 0.150 0.000 0.693
Ge 0.650 0.807 0.500
Ge 0.500 0.650 0.807
Ge 0.500 0.350 0.193
Ge 0.000 0.000 0.000
Ge 0.807 0.500 0.650
Ge 0.000 0.307 0.850
Ge 0.193 0.500 0.350
Ge 0.850 0.000 0.693
Ru 0.250 0.250 0.250
Ru 0.250 0.750 0.250
Ru 0.750 0.250 0.250
Ru 0.250 0.750 0.750
Ru 0.750 0.750 0.250
Ru 0.250 0.250 0.750
Ru 0.750 0.250 0.750
Ru 0.750 0.750 0.750

=====

# 10
A geometry-optimized ZnCl2 structure. Source: the Materials Project, functional PBE-GGA.

Maximum piezoelectric response (C/m2): 0.112
Space-group type: I-42d, No. 122
Calculated total energy (eV/cell): -16.80

Lattice parameters (Å, degrees): 6.517 6.517 6.517 128.64 128.64 75.58
Fractional coordinates of all 6 atoms:
Zn 0.000 0.000 0.000
Zn 0.750 0.250 0.500
Cl 0.375 0.352 0.477
Cl 0.648 0.125 0.023
Cl 0.102 0.625 0.977
Cl 0.875 0.898 0.523

=====

# 11
A geometry-optimized Sb2IBr2F11 structure. Source: the Materials Project, functional PBE-GGA.

Total magnetic moment (μB per formula unit): 0.0
Space-group type: Pbca, No. 61
Calculated total energy (eV/cell): -506.51

Lattice parameters (Å, degrees): 12.868 14.467 14.774 90.00 90.00 90.00
Fractional coordinates of all 128 atoms:
Sb 0.712 0.085 0.165
Sb 0.175 0.085 0.551
Sb 0.212 0.915 0.335
Sb 0.325 0.085 0.051
Sb 0.675 0.415 0.551
Sb 0.712 0.585 0.335
Sb 0.175 0.585 0.949
Sb 0.788 0.085 0.665
Sb 0.675 0.915 0.949
Sb 0.288 0.915 0.835
Sb 0.825 0.915 0.449
Sb 0.288 0.415 0.665
Sb 0.212 0.415 0.165
Sb 0.825 0.415 0.051
Sb 0.325 0.585 0.449
Sb 0.788 0.585 0.835
I 0.598 0.762 0.639
I 0.402 0.238 0.361
I 0.598 0.262 0.861
I 0.402 0.738 0.139
I 0.098 0.738 0.639
I 0.902 0.262 0.361
I 0.902 0.762 0.139
I 0.098 0.238 0.861
Br 0.469 0.180 0.767
Br 0.531 0.820 0.233
Br 0.982 0.640 0.547
Br 0.531 0.320 0.267
Br 0.018 0.860 0.047
Br 0.031 0.180 0.267
Br 0.018 0.360 0.453
Br 0.518 0.640 0.047
Br 0.469 0.680 0.733
Br 0.969 0.820 0.733
Br 0.031 0.680 0.233
Br 0.482 0.360 0.953
Br 0.482 0.860 0.547
Br 0.518 0.140 0.453
Br 0.969 0.320 0.767
Br 0.982 0.140 0.953
F 0.311 0.038 0.571
F 0.924 0.575 0.787
F 0.846 0.588 0.391
F 0.689 0.962 0.429
F 0.330 0.312 0.595
F 0.811 0.962 0.929
F 0.958 0.875 0.488
F 0.170 0.312 0.095
F 0.742 0.658 0.733
F 0.758 0.658 0.233
F 0.821 0.328 0.148
F 0.883 0.013 0.380
F 0.458 0.625 0.488
F 0.654 0.088 0.609
F 0.735 0.832 0.037
F 0.258 0.342 0.267
F 0.254 0.531 0.718
F 0.042 0.625 0.988
F 0.346 0.412 0.109
F 0.246 0.031 0.282
F 0.754 0.969 0.718
F 0.254 0.031 0.782
F 0.670 0.188 0.095
F 0.424 0.425 0.713
F 0.742 0.158 0.767
F 0.235 0.668 0.037
F 0.576 0.575 0.287
F 0.754 0.469 0.782
F 0.617 0.513 0.620
F 0.654 0.588 0.891
F 0.746 0.969 0.218
F 0.189 0.038 0.071
F 0.242 0.842 0.733
F 0.830 0.688 0.905
F 0.758 0.158 0.267
F 0.383 0.487 0.380
F 0.179 0.672 0.852
F 0.821 0.828 0.352
F 0.163 0.492 0.056
F 0.811 0.462 0.571
F 0.042 0.125 0.512
F 0.163 0.992 0.444
F 0.235 0.168 0.463
F 0.735 0.332 0.463
F 0.830 0.188 0.595
F 0.330 0.812 0.905
F 0.265 0.668 0.537
F 0.189 0.538 0.429
F 0.170 0.812 0.405
F 0.837 0.508 0.944
F 0.617 0.013 0.880
F 0.242 0.342 0.767
F 0.179 0.172 0.648
F 0.424 0.925 0.787
F 0.837 0.008 0.556
F 0.337 0.492 0.556
F 0.076 0.425 0.213
F 0.265 0.168 0.963
F 0.670 0.688 0.405
F 0.689 0.462 0.071
F 0.663 0.508 0.444
F 0.846 0.088 0.109
F 0.321 0.172 0.148
F 0.154 0.412 0.609
F 0.321 0.672 0.352
F 0.924 0.075 0.713
F 0.765 0.332 0.963
F 0.958 0.375 0.012
F 0.765 0.832 0.537
F 0.246 0.531 0.218
F 0.576 0.075 0.213
F 0.458 0.125 0.012
F 0.337 0.992 0.944
F 0.383 0.987 0.120
F 0.346 0.912 0.391
F 0.311 0.538 0.929
F 0.679 0.328 0.648
F 0.542 0.875 0.988
F 0.746 0.469 0.282
F 0.154 0.912 0.891
F 0.117 0.487 0.880
F 0.679 0.828 0.852
F 0.117 0.987 0.620
F 0.076 0.925 0.287
F 0.663 0.008 0.056
F 0.542 0.375 0.512
F 0.258 0.842 0.233
F 0.883 0.513 0.120